No. 1
The following is a PBE with a Hubbard U calculation of crystalline Fe13Sn2O20 at its relaxed geometry, from Materials Project.

Results
ΔH_f (0 K): -1.077 eV per atom
Calculated total energy: -6.05 eV per atom
Symmetry: P-1, No. 2

abc: 6.1283 8.6161 16.0409
angles: 105.19 100.52 90.44
Last column: nearest neighbours and their distance in Å.
Fractional coordinates of all 70 atoms:
Fe (0.0000, 0.0000, 0.0000)  6 O 2.10-2.17
Fe (0.0000, 0.0000, 0.5000)  6 O 2.03-2.10
Fe (0.0418, 0.4227, 0.1008)  4 O 1.86-1.97
Fe (0.0937, 0.1057, 0.2017)  6 O 2.06-2.17
Fe (0.0959, 0.6058, 0.7007)  6 O 2.07-2.21
Fe (0.1545, 0.7787, 0.3005)  4 O 1.90-1.97
Fe (0.2008, 0.1942, 0.9005)  6 O 2.06-2.19
Fe (0.2008, 0.1963, 0.3954)  6 O 1.94-2.10
Fe (0.2457, 0.6154, 0.4985)  4 O 1.99-2.12
Fe (0.3502, 0.9661, 0.7005)  4 O 1.98-2.09
Fe (0.3921, 0.3906, 0.2976)  6 O 2.06-2.23
Fe (0.3958, 0.4123, 0.8049)  6 O 1.98-2.18
Fe (0.4415, 0.8246, 0.8973)  4 O 1.90-1.96
Fe (0.5000, 0.0000, 0.5000)  6 O 2.03-2.08
Fe (0.5000, 0.5000, 0.0000)  6 O 2.10-2.17
Fe (0.5585, 0.1754, 0.1027)  4 O 1.90-1.96
Fe (0.6042, 0.5877, 0.1951)  6 O 1.98-2.18
Fe (0.6079, 0.6094, 0.7024)  6 O 2.06-2.23
Fe (0.6498, 0.0339, 0.2995)  4 O 1.98-2.09
Fe (0.7543, 0.3846, 0.5015)  4 O 1.99-2.12
Fe (0.7992, 0.8037, 0.6046)  6 O 1.94-2.10
Fe (0.7992, 0.8058, 0.0995)  6 O 2.06-2.19
Fe (0.8455, 0.2213, 0.6995)  4 O 1.90-1.97
Fe (0.9041, 0.3942, 0.2993)  6 O 2.07-2.21
Fe (0.9063, 0.8943, 0.7983)  6 O 2.06-2.17
Fe (0.9582, 0.5773, 0.8992)  4 O 1.86-1.97
Sn (0.3003, 0.3036, 0.5987)  6 O 2.02-2.12
Sn (0.3017, 0.8038, 0.1013)  6 O 2.07-2.15
Sn (0.6983, 0.1962, 0.8987)  6 O 2.07-2.15
Sn (0.6997, 0.6964, 0.4013)  6 O 2.02-2.12
O (0.0130, 0.7588, 0.0048)  3 Fe 1.96-2.15, 1 Sn 2.09
O (0.0201, 0.2334, 0.4967)  3 Fe 2.03-2.09, 1 Sn 2.10
O (0.0707, 0.8426, 0.6941)  4 Fe 1.95-2.08
O (0.0916, 0.3477, 0.2013)  3 Fe 1.86-2.09
O (0.1026, 0.8518, 0.1967)  1 Fe 1.90, 1 Sn 2.09
O (0.1141, 0.3503, 0.7008)  3 Fe 1.97-2.21, 1 Sn 2.12
O (0.1930, 0.9545, 0.8989)  3 Fe 1.90-2.11
O (0.2048, 0.4244, 0.3943)  4 Fe 1.97-2.13
O (0.2066, 0.9580, 0.4062)  4 Fe 1.95-2.10
O (0.2160, 0.4473, 0.8996)  3 Fe 1.94-2.10
O (0.2924, 0.0538, 0.5891)  3 Fe 2.04-2.09, 1 Sn 2.12
O (0.2954, 0.0456, 0.1022)  3 Fe 1.95-2.17, 1 Sn 2.08
O (0.3010, 0.5425, 0.6083)  3 Fe 1.99-2.15, 1 Sn 2.02
O (0.3069, 0.5560, 0.1036)  3 Fe 1.97-2.17, 1 Sn 2.15
O (0.3704, 0.1511, 0.3013)  4 Fe 1.94-2.08
O (0.4044, 0.6386, 0.7978)  3 Fe 1.92-2.11
O (0.4102, 0.1736, 0.8055)  3 Fe 2.06-2.14, 1 Sn 2.07
O (0.4147, 0.6499, 0.3004)  2 Fe 1.95-2.18, 1 Sn 2.11
O (0.4739, 0.2326, 0.4947)  3 Fe 2.03-2.12, 1 Sn 2.10
O (0.4946, 0.7472, 0.0032)  3 Fe 1.96-2.16, 1 Sn 2.10
O (0.5054, 0.2528, 0.9968)  3 Fe 1.96-2.16, 1 Sn 2.10
O (0.5261, 0.7674, 0.5053)  3 Fe 2.03-2.12, 1 Sn 2.10
O (0.5853, 0.3501, 0.6996)  2 Fe 1.95-2.18, 1 Sn 2.11
O (0.5898, 0.8264, 0.1945)  3 Fe 2.06-2.14, 1 Sn 2.07
O (0.5956, 0.3614, 0.2022)  3 Fe 1.92-2.11
O (0.6296, 0.8489, 0.6987)  4 Fe 1.94-2.08
O (0.6931, 0.4440, 0.8964)  3 Fe 1.97-2.17, 1 Sn 2.15
O (0.6990, 0.4575, 0.3917)  3 Fe 1.99-2.15, 1 Sn 2.02
O (0.7046, 0.9544, 0.8978)  3 Fe 1.95-2.17, 1 Sn 2.08
O (0.7076, 0.9462, 0.4109)  3 Fe 2.04-2.09, 1 Sn 2.12
O (0.7840, 0.5527, 0.1004)  3 Fe 1.94-2.10
O (0.7934, 0.0420, 0.5938)  4 Fe 1.95-2.10
O (0.7952, 0.5756, 0.6057)  4 Fe 1.97-2.13
O (0.8070, 0.0455, 0.1011)  3 Fe 1.90-2.11
O (0.8859, 0.6497, 0.2992)  3 Fe 1.97-2.21, 1 Sn 2.12
O (0.8974, 0.1482, 0.8033)  1 Fe 1.90, 1 Sn 2.09
O (0.9084, 0.6523, 0.7987)  3 Fe 1.86-2.09
O (0.9293, 0.1574, 0.3059)  4 Fe 1.95-2.08
O (0.9799, 0.7666, 0.5033)  3 Fe 2.03-2.09, 1 Sn 2.10
O (0.9870, 0.2412, 0.9952)  3 Fe 1.96-2.15, 1 Sn 2.09

No. 2
The following is a PBE with a Hubbard U calculation of crystalline Sr2FeSnO6 at its relaxed geometry, from Materials Project.

Results
ΔH_f (0 K): -2.374 eV per atom
Calculated total energy: -6.29 eV per atom
Symmetry: Fmm2, No. 42
Energy above the lowest structure with this stoichiometry: 0.11 eV per formula unit

abc: 12.7505 12.1009 7.0111
angles: 78.78 68.58 32.64
Last column: nearest neighbours and their distance in Å.
Fractional coordinates of all 40 atoms:
Sr (0.1246, 0.1246, 0.3754)  12 O 2.85-2.87
Sr (0.2490, 0.7510, 0.7510)  12 O 2.84-2.87
Sr (0.3745, 0.3745, 0.1255)  12 O 2.85-2.87
Sr (0.4992, 0.9992, 0.5008)  12 O 2.84-2.87
Sr (0.6246, 0.6246, 0.8754)  12 O 2.85-2.87
Sr (0.7510, 0.2490, 0.2490)  12 O 2.84-2.87
Sr (0.8745, 0.8745, 0.6255)  12 O 2.85-2.87
Sr (0.9992, 0.4992, 0.0008)  12 O 2.84-2.87
Fe (0.1247, 0.1247, 0.8753)  6 O 1.97-1.98
Fe (0.3744, 0.3744, 0.6256)  6 O 1.99-2.09
Fe (0.6247, 0.6247, 0.3753)  6 O 1.99-2.09
Fe (0.8744, 0.8744, 0.1256)  6 O 1.97-1.98
Sn (0.9996, 0.4996, 0.5004)  6 O 2.03-2.06
Sn (0.2496, 0.7494, 0.2506)  6 O 2.03-2.06
Sn (0.4996, 0.9996, 0.0004)  6 O 2.03-2.06
Sn (0.7494, 0.2496, 0.7504)  6 O 2.03-2.06
O (0.9995, 0.9995, 0.5005)  2 Sn 2.03
O (0.0581, 0.8137, 0.1863)  1 Fe 1.98, 1 Sn 2.06
O (0.0635, 0.3079, 0.6921)  1 Fe 1.97, 1 Sn 2.06
O (0.1179, 0.6315, 0.8821)  2 Fe 1.98-2.09
O (0.1853, 0.9410, 0.0590)  1 Fe 1.98, 1 Sn 2.06
O (0.1895, 0.4363, 0.5637)  1 Fe 1.99, 1 Sn 2.04
O (0.2496, 0.2496, 0.2504)  2 Sn 2.03
O (0.3079, 0.0635, 0.9365)  1 Fe 1.97, 1 Sn 2.06
O (0.3130, 0.5591, 0.4409)  1 Fe 1.99, 1 Sn 2.05
O (0.3677, 0.8812, 0.6323)  2 Fe 1.98-2.09
O (0.4363, 0.1895, 0.8105)  1 Fe 1.99, 1 Sn 2.04
O (0.4401, 0.6860, 0.3140)  1 Fe 1.99, 1 Sn 2.05
O (0.4995, 0.4995, 0.0005)  2 Sn 2.03
O (0.5591, 0.3130, 0.6870)  1 Fe 1.99, 1 Sn 2.05
O (0.5630, 0.8094, 0.1906)  1 Fe 1.99, 1 Sn 2.05
O (0.6315, 0.1179, 0.3685)  2 Fe 1.98-2.09
O (0.6860, 0.4401, 0.5599)  1 Fe 1.99, 1 Sn 2.05
O (0.6913, 0.9358, 0.0642)  1 Fe 1.97, 1 Sn 2.06
O (0.7496, 0.7496, 0.7504)  2 Sn 2.03
O (0.8094, 0.5630, 0.4370)  1 Fe 1.99, 1 Sn 2.05
O (0.8137, 0.0581, 0.9419)  1 Fe 1.98, 1 Sn 2.06
O (0.8812, 0.3677, 0.1188)  2 Fe 1.98-2.09
O (0.9358, 0.6913, 0.3087)  1 Fe 1.97, 1 Sn 2.06
O (0.9410, 0.1853, 0.8147)  1 Fe 1.98, 1 Sn 2.06

No. 3
The following is a PBE with a Hubbard U calculation of crystalline Sr2FeSnO6 at its relaxed geometry, from Materials Project.

Results
ΔH_f (0 K): -2.379 eV per atom
Calculated total energy: -6.30 eV per atom
Symmetry: Cmmm, No. 65
Energy above the lowest structure with this stoichiometry: 0.06 eV per formula unit

abc: 8.9759 8.9759 4.0299
angles: 90.00 90.00 126.27
Last column: nearest neighbours and their distance in Å.
Fractional coordinates of all 20 atoms:
Sr (0.1320, 0.3661, 0.0000)  12 O 2.75-2.95
Sr (0.3661, 0.1320, 0.0000)  12 O 2.75-2.95
Sr (0.6339, 0.8680, 0.0000)  12 O 2.75-2.95
Sr (0.8680, 0.6339, 0.0000)  12 O 2.75-2.95
Fe (0.0000, 0.0000, 0.5000)  6 O 1.93-2.01
Fe (0.5000, 0.5000, 0.5000)  6 O 1.93-2.08
Sn (0.2502, 0.7498, 0.5000)  6 O 2.01-2.08
Sn (0.7498, 0.2502, 0.5000)  6 O 2.01-2.08
O (0.0000, 0.0000, 0.0000)  2 Fe 2.01
O (0.0000, 0.5000, 0.5000)  2 Sn 2.03
O (0.1204, 0.8796, 0.5000)  1 Fe 1.93, 1 Sn 2.08
O (0.2437, 0.2437, 0.5000)  2 Fe 1.98-2.08
O (0.2497, 0.7503, 0.0000)  2 Sn 2.01
O (0.3796, 0.6204, 0.5000)  1 Fe 1.93, 1 Sn 2.07
O (0.5000, 0.0000, 0.5000)  2 Sn 2.03
O (0.5000, 0.5000, 0.0000)  2 Fe 2.01
O (0.6204, 0.3796, 0.5000)  1 Fe 1.93, 1 Sn 2.07
O (0.7503, 0.2497, 0.0000)  2 Sn 2.01
O (0.7563, 0.7563, 0.5000)  2 Fe 1.98-2.08
O (0.8796, 0.1204, 0.5000)  1 Fe 1.93, 1 Sn 2.08

No. 4
The following is a PBE with a Hubbard U calculation of crystalline Sr2FeSnO6 at its relaxed geometry, from Materials Project.

Results
ΔH_f (0 K): -2.376 eV per atom
Calculated total energy: -6.29 eV per atom
Symmetry: P4/mmm, No. 123
Energy above the lowest structure with this stoichiometry: 0.09 eV per formula unit

abc: 5.6904 5.6904 4.0363
angles: 90.00 90.00 90.00
Last column: nearest neighbours and their distance in Å.
Fractional coordinates of all 10 atoms:
Sr (0.0000, 0.5000, 0.0000)  12 O 2.85
Sr (0.5000, 0.0000, 0.0000)  12 O 2.85
Fe (0.0000, 0.0000, 0.5000)  6 O 1.97-2.02
Sn (0.5000, 0.5000, 0.5000)  6 O 2.02-2.05
O (0.0000, 0.0000, 0.0000)  2 Fe 2.02
O (0.2448, 0.2448, 0.5000)  1 Fe 1.97, 1 Sn 2.05
O (0.2448, 0.7552, 0.5000)  1 Fe 1.97, 1 Sn 2.05
O (0.5000, 0.5000, 0.0000)  2 Sn 2.02
O (0.7552, 0.2448, 0.5000)  1 Fe 1.97, 1 Sn 2.05
O (0.7552, 0.7552, 0.5000)  1 Fe 1.97, 1 Sn 2.05

No. 5
The following is a PBE with a Hubbard U calculation of crystalline Sr2FeSnO6 at its relaxed geometry, from Materials Project.

Results
ΔH_f (0 K): -2.375 eV per atom
Calculated total energy: -6.29 eV per atom
Symmetry: Cmmm, No. 65
Energy above the lowest structure with this stoichiometry: 0.10 eV per formula unit

abc: 12.0976 12.0976 5.6888
angles: 90.00 90.00 140.65
Last column: nearest neighbours and their distance in Å.
Fractional coordinates of all 40 atoms:
Sr (0.0000, 0.5000, 0.0000)  12 O 2.84-2.87
Sr (0.1241, 0.3741, 0.5000)  12 O 2.84-2.87
Sr (0.2490, 0.2490, 0.0000)  12 O 2.84-2.87
Sr (0.3741, 0.1241, 0.5000)  12 O 2.84-2.87
Sr (0.5000, 0.0000, 0.0000)  12 O 2.84-2.87
Sr (0.6259, 0.8759, 0.5000)  12 O 2.84-2.87
Sr (0.7510, 0.7510, 0.0000)  12 O 2.84-2.87
Sr (0.8759, 0.6259, 0.5000)  12 O 2.84-2.87
Fe (0.1250, 0.8750, 0.0000)  6 O 1.97-1.98
Fe (0.3750, 0.6250, 0.0000)  6 O 1.97-2.09
Fe (0.6250, 0.3750, 0.0000)  6 O 1.97-2.09
Fe (0.8750, 0.1250, 0.0000)  6 O 1.97-1.98
Sn (0.0000, 0.0000, 0.5000)  6 O 2.04-2.05
Sn (0.2502, 0.7498, 0.5000)  6 O 2.04-2.06
Sn (0.5000, 0.5000, 0.5000)  6 O 2.04-2.05
Sn (0.7498, 0.2502, 0.5000)  6 O 2.04-2.06
O (0.0000, 0.5000, 0.5000)  2 Sn 2.04
O (0.0636, 0.9364, 0.2448)  1 Fe 1.97, 1 Sn 2.05
O (0.0636, 0.9364, 0.7552)  1 Fe 1.97, 1 Sn 2.05
O (0.1182, 0.3680, 0.0000)  2 Fe 1.98-2.09
O (0.1859, 0.8141, 0.2460)  1 Fe 1.97, 1 Sn 2.06
O (0.1859, 0.8141, 0.7540)  1 Fe 1.97, 1 Sn 2.06
O (0.2499, 0.2499, 0.5000)  2 Sn 2.04
O (0.3137, 0.6863, 0.2451)  1 Fe 1.97, 1 Sn 2.05
O (0.3137, 0.6863, 0.7549)  1 Fe 1.97, 1 Sn 2.05
O (0.3680, 0.1182, 0.0000)  2 Fe 1.98-2.09
O (0.4362, 0.5638, 0.2449)  1 Fe 1.97, 1 Sn 2.05
O (0.4362, 0.5638, 0.7551)  1 Fe 1.97, 1 Sn 2.05
O (0.5000, 0.0000, 0.5000)  2 Sn 2.04
O (0.5638, 0.4362, 0.2449)  1 Fe 1.97, 1 Sn 2.05
O (0.5638, 0.4362, 0.7551)  1 Fe 1.97, 1 Sn 2.05
O (0.6320, 0.8818, 0.0000)  2 Fe 1.98-2.09
O (0.6863, 0.3137, 0.2451)  1 Fe 1.97, 1 Sn 2.05
O (0.6863, 0.3137, 0.7549)  1 Fe 1.97, 1 Sn 2.05
O (0.7501, 0.7501, 0.5000)  2 Sn 2.04
O (0.8141, 0.1859, 0.2460)  1 Fe 1.97, 1 Sn 2.06
O (0.8141, 0.1859, 0.7540)  1 Fe 1.97, 1 Sn 2.06
O (0.8818, 0.6320, 0.0000)  2 Fe 1.98-2.09
O (0.9364, 0.0636, 0.2448)  1 Fe 1.97, 1 Sn 2.05
O (0.9364, 0.0636, 0.7552)  1 Fe 1.97, 1 Sn 2.05

No. 6
The following is a PBE with a Hubbard U calculation of crystalline Sr2FeSnO6 at its relaxed geometry, from Materials Project.

Results
ΔH_f (0 K): -2.385 eV per atom
Calculated total energy: -6.30 eV per atom
Symmetry: Pmmm, No. 47
Energy above the lowest structure with this stoichiometry: 0.00 eV per formula unit

abc: 4.0275 8.0111 8.1011
angles: 90.00 90.00 90.00
Last column: nearest neighbours and their distance in Å.
Fractional coordinates of all 20 atoms:
Sr (0.0000, 0.2343, 0.2495)  12 O 2.75-2.94
Sr (0.0000, 0.2343, 0.7505)  12 O 2.75-2.94
Sr (0.0000, 0.7657, 0.2495)  12 O 2.75-2.94
Sr (0.0000, 0.7657, 0.7505)  12 O 2.75-2.94
Fe (0.5000, 0.0000, 0.0000)  6 O 1.93-2.01
Fe (0.5000, 0.0000, 0.5000)  6 O 1.93-2.08
Sn (0.5000, 0.5000, 0.0000)  6 O 2.01-2.08
Sn (0.5000, 0.5000, 0.5000)  6 O 2.01-2.08
O (0.0000, 0.0000, 0.0000)  2 Fe 2.01
O (0.0000, 0.0000, 0.5000)  2 Fe 2.01
O (0.0000, 0.5000, 0.0000)  2 Sn 2.01
O (0.0000, 0.5000, 0.5000)  2 Sn 2.01
O (0.5000, 0.0000, 0.2434)  2 Fe 1.97-2.08
O (0.5000, 0.0000, 0.7566)  2 Fe 1.97-2.08
O (0.5000, 0.2406, 0.0000)  1 Fe 1.93, 1 Sn 2.08
O (0.5000, 0.2409, 0.5000)  1 Fe 1.93, 1 Sn 2.08
O (0.5000, 0.5000, 0.2498)  2 Sn 2.02-2.03
O (0.5000, 0.5000, 0.7502)  2 Sn 2.02-2.03
O (0.5000, 0.7594, 0.0000)  1 Fe 1.93, 1 Sn 2.08
O (0.5000, 0.7591, 0.5000)  1 Fe 1.93, 1 Sn 2.08